VASP calculation (r²SCAN) on crystalline K2Ti4O9 at its relaxed geometry.

a = 3.780 Å, b = 9.365 Å, c = 12.051 Å
α = 106.34°, β = 90.00°, γ = 101.64°
Atoms (fractional coordinates):
K: 0.583 0.165 0.083
K: 0.417 0.835 0.917
K: 0.523 0.045 0.329
K: 0.477 0.955 0.671
Ti: 0.246 0.492 0.167
Ti: 0.754 0.508 0.834
Ti: 0.839 0.678 0.376
Ti: 0.161 0.322 0.624
Ti: 0.878 0.757 0.139
Ti: 0.122 0.243 0.861
Ti: 0.203 0.406 0.396
Ti: 0.797 0.594 0.604
O: 0.768 0.536 0.201
O: 0.232 0.464 0.799
O: 0.308 0.617 0.359
O: 0.692 0.383 0.641
O: 0.350 0.700 0.144
O: 0.650 0.300 0.856
O: 0.730 0.460 0.422
O: 0.270 0.540 0.578
O: 0.917 0.834 0.318
O: 0.083 0.166 0.682
O: 0.968 0.937 0.120
O: 0.032 0.063 0.880
O: 0.121 0.243 0.461
O: 0.879 0.757 0.539
O: 0.161 0.322 0.242
O: 0.839 0.678 0.758
O: 0.182 0.365 0.026
O: 0.818 0.635 0.974

## Properties
SG: No. 12

---

VASP calculation (r²SCAN) on crystalline K2Ti8O17 at its relaxed geometry.

a = 8.100 Å, b = 8.100 Å, c = 12.021 Å
α = 84.52°, β = 84.52°, γ = 26.98°
Atoms (fractional coordinates):
K: 0.445 0.445 0.805
K: 0.555 0.555 0.195
Ti: 0.890 0.890 0.071
Ti: 0.849 0.849 0.328
Ti: 0.805 0.805 0.576
Ti: 0.758 0.758 0.831
Ti: 0.242 0.242 0.169
Ti: 0.195 0.195 0.424
Ti: 0.151 0.151 0.672
Ti: 0.110 0.110 0.929
O: 0.935 0.935 0.218
O: 0.893 0.893 0.463
O: 0.848 0.848 0.711
O: 0.830 0.830 0.936
O: 0.362 0.362 0.085
O: 0.314 0.314 0.322
O: 0.272 0.272 0.568
O: 0.228 0.228 0.818
O: 0.772 0.772 0.182
O: 0.728 0.728 0.432
O: 0.686 0.686 0.678
O: 0.638 0.638 0.915
O: 0.170 0.170 0.064
O: 0.152 0.152 0.289
O: 0.107 0.107 0.537
O: 0.065 0.065 0.782
O: 0.000 0.000 0.000

## Properties
SG: No. 12

---

VASP calculation (r²SCAN) on crystalline KTmO2 at its relaxed geometry.

a = 3.385 Å, b = 6.477 Å, c = 3.385 Å
α = 105.15°, β = 60.00°, γ = 105.15°
Atoms (fractional coordinates):
K: 0.000 0.000 0.000
Tm: 0.500 0.500 0.500
O: 0.228 0.684 0.228
O: 0.772 0.316 0.772

## Properties
SG: No. 166

---

The calculation returns the following calculated total energy values, one per record and in order: -328.24 -303.48 -65.55 eV for the cell shown.